Na6Hf4Al4Si5S7O48: optimized geometry, PBE.

POSCAR file:
```
Na6Hf4Al4Si5S7O48
1.0
-4.228 -16.952 0.734
6.314 2.753 -5.427
15.316 -3.204 16.211
Na O Si S Hf Al
18 144 15 21 12 12
direct
0.503 0.363 0.753
0.001 0.630 0.256
0.337 0.343 0.329
0.175 0.692 0.667
0.828 0.336 0.336
0.664 0.300 0.917
0.995 0.353 0.750
0.830 0.328 0.825
0.503 0.013 0.997
0.002 0.995 0.502
0.165 0.028 0.427
0.183 0.662 0.170
0.675 0.658 0.165
0.495 0.641 0.251
0.507 0.996 0.503
0.331 0.323 0.834
0.007 0.015 0.998
0.681 0.690 0.675
0.652 0.487 0.758
0.237 0.317 0.025
0.677 0.496 0.358
0.436 0.516 0.141
0.324 0.510 0.643
0.573 0.503 0.854
0.599 0.167 0.811
0.742 0.170 0.243
0.917 0.038 0.808
0.766 0.693 0.260
0.902 0.970 0.402
0.507 0.813 0.411
0.006 0.200 0.913
0.754 0.638 0.579
0.984 0.788 0.091
0.250 0.687 0.263
0.252 0.870 0.081
0.009 0.204 0.200
0.153 0.840 0.258
0.183 0.512 0.081
0.079 0.463 0.259
0.930 0.494 0.416
0.754 0.862 0.359
0.507 0.809 0.699
0.154 0.840 0.976
0.824 0.518 0.638
0.920 0.529 0.032
0.585 0.973 0.909
0.593 0.148 0.086
0.844 0.170 0.745
0.480 0.175 0.587
0.579 0.175 0.412
0.749 0.361 0.141
0.575 0.203 0.697
0.233 0.157 0.245
0.432 0.355 0.640
0.085 0.965 0.201
0.176 0.854 0.859
0.775 0.847 0.466
0.254 0.354 0.144
0.431 0.490 0.422
0.089 0.716 0.466
0.737 0.314 0.020
0.484 0.796 0.090
0.402 0.834 0.903
0.065 0.487 0.578
0.415 0.791 0.308
0.915 0.502 0.735
0.851 0.172 0.024
0.681 0.876 0.862
0.250 0.142 0.641
0.078 0.981 0.914
0.255 0.873 0.364
0.564 0.639 0.080
0.742 0.317 0.745
0.676 0.499 0.080
0.075 0.649 0.350
0.061 0.480 0.861
0.752 0.355 0.418
0.846 0.543 0.529
0.263 0.838 0.760
0.561 0.493 0.579
0.151 0.447 0.467
0.399 0.974 0.411
0.562 0.644 0.360
0.746 0.143 0.921
0.664 0.851 0.260
0.774 0.690 0.972
0.825 0.138 0.144
0.742 0.859 0.077
0.848 0.534 0.249
0.347 0.161 0.747
0.481 0.791 0.806
0.584 0.511 0.259
0.987 0.172 0.306
0.273 0.855 0.470
0.429 0.365 0.919
0.751 0.821 0.765
0.102 0.029 0.305
0.597 0.030 0.591
0.411 0.025 0.804
0.345 0.150 0.030
0.900 0.822 0.912
0.587 0.460 0.969
0.824 0.127 0.416
0.656 0.856 0.969
0.395 0.828 0.194
0.339 0.511 0.245
0.062 0.629 0.081
0.084 0.193 0.404
0.984 0.171 0.588
0.322 0.519 0.917
0.242 0.316 0.743
0.094 0.041 0.585
0.423 0.536 0.032
0.574 0.685 0.468
0.026 0.830 0.693
0.916 0.017 0.088
0.411 0.323 0.237
0.524 0.222 0.193
0.177 0.856 0.580
0.914 0.801 0.304
0.015 0.850 0.401
0.164 0.478 0.761
0.654 0.469 0.475
0.511 0.176 0.905
0.921 0.311 0.250
0.243 0.627 0.575
0.737 0.158 0.524
0.823 0.503 0.923
0.244 0.347 0.417
0.683 0.854 0.580
0.353 0.538 0.523
0.237 0.158 0.519
0.420 0.314 0.530
0.613 0.037 0.304
0.388 0.967 0.697
0.930 0.370 0.923
0.756 0.155 0.643
0.933 0.508 0.142
0.596 0.967 0.199
0.324 0.134 0.139
0.419 0.521 0.747
0.086 0.661 0.758
0.274 0.701 0.966
0.924 0.311 0.530
0.416 0.821 0.589
0.482 0.182 0.306
0.251 0.147 0.917
0.254 0.646 0.859
0.097 0.163 0.093
0.985 0.784 0.805
0.937 0.356 0.639
0.411 0.026 0.088
0.756 0.632 0.865
0.893 0.812 0.198
0.180 0.488 0.361
0.113 0.189 0.804
0.321 0.138 0.421
0.897 0.961 0.695
0.073 0.462 0.969
0.913 0.801 0.586
0.577 0.694 0.759
0.096 0.225 0.699
0.499 0.310 0.248
0.191 0.057 0.582
0.847 0.990 0.752
0.163 0.950 0.916
0.333 0.618 0.583
0.025 0.672 0.408
0.691 0.328 0.081
0.001 0.690 0.748
0.664 0.375 0.415
0.197 0.340 0.087
0.524 0.377 0.910
0.697 0.054 0.587
0.345 0.702 0.252
0.831 0.051 0.082
0.646 0.294 0.753
0.813 0.949 0.410
0.166 0.373 0.413
0.974 0.328 0.585
0.496 0.706 0.754
0.155 0.303 0.751
0.998 0.286 0.254
0.311 0.960 0.416
0.834 0.619 0.585
0.518 0.656 0.415
0.471 0.333 0.585
0.667 0.957 0.914
0.016 0.377 0.915
0.853 0.709 0.253
0.474 0.619 0.086
0.313 0.677 0.910
0.812 0.661 0.917
0.972 0.608 0.085
0.145 0.001 0.252
0.352 0.997 0.752
0.655 0.007 0.251
0.333 0.050 0.086
0.831 0.336 0.475
0.504 0.999 0.645
0.329 0.325 0.973
0.501 0.013 0.149
0.166 0.664 0.021
0.165 0.675 0.525
0.999 0.983 0.849
0.665 0.655 0.023
0.666 0.667 0.522
0.998 0.007 0.141
0.499 0.013 0.350
0.001 0.989 0.650
0.663 0.643 0.315
0.332 0.350 0.191
0.504 0.016 0.850
0.171 0.664 0.318
0.820 0.311 0.176
0.322 0.335 0.678
0.333 0.344 0.492
0.999 0.993 0.352
0.166 0.689 0.813
0.827 0.312 0.985
0.668 0.655 0.810
0.821 0.308 0.698
```

Properties
Its formation energy is -2.734 eV per atom. The symmetry is P1.